Entry 1:
{"formula": "La21Mn8Bi7C12", "functional": "PBE-GGA", "state": "optimized geometry", "lattice": [[0.0000, 8.2829, 8.2829], [8.2829, 0.0000, 8.2829], [8.2829, 8.2829, 0.0000]], "species": ["La", "La", "La", "La", "La", "La", "La", "La", "La", "La", "La", "La", "La", "La", "La", "La", "La", "La", "La", "La", "La", "Mn", "Mn", "Mn", "Mn", "Mn", "Mn", "Mn", "Mn", "Bi", "Bi", "Bi", "Bi", "Bi", "Bi", "Bi", "C", "C", "C", "C", "C", "C", "C", "C", "C", "C", "C", "C"], "frac_coords": [[0.0000, 0.0000, 0.0000], [0.1366, 0.1366, 0.1366], [0.1366, 0.1366, 0.5903], [0.1366, 0.5903, 0.1366], [0.1569, 0.5000, 0.5000], [0.1569, 0.5000, 0.8431], [0.1569, 0.8431, 0.5000], [0.4097, 0.8634, 0.8634], [0.5000, 0.1569, 0.5000], [0.5000, 0.1569, 0.8431], [0.5000, 0.5000, 0.1569], [0.5000, 0.5000, 0.8431], [0.5000, 0.8431, 0.1569], [0.5000, 0.8431, 0.5000], [0.5903, 0.1366, 0.1366], [0.8431, 0.1569, 0.5000], [0.8431, 0.5000, 0.1569], [0.8431, 0.5000, 0.5000], [0.8634, 0.4097, 0.8634], [0.8634, 0.8634, 0.4097], [0.8634, 0.8634, 0.8634], [0.0959, 0.3014, 0.3014], [0.3014, 0.0959, 0.3014], [0.3014, 0.3014, 0.0959], [0.3014, 0.3014, 0.3014], [0.6986, 0.6986, 0.6986], [0.6986, 0.6986, 0.9041], [0.6986, 0.9041, 0.6986], [0.9041, 0.6986, 0.6986], [0.2091, 0.2091, 0.7909], [0.2091, 0.7909, 0.2091], [0.2091, 0.7909, 0.7909], [0.5000, 0.5000, 0.5000], [0.7909, 0.2091, 0.2091], [0.7909, 0.2091, 0.7909], [0.7909, 0.7909, 0.2091], [0.1073, 0.1073, 0.3927], [0.1073, 0.3927, 0.1073], [0.1073, 0.3927, 0.3927], [0.3927, 0.1073, 0.1073], [0.3927, 0.1073, 0.3927], [0.3927, 0.3927, 0.1073], [0.6073, 0.6073, 0.8927], [0.6073, 0.8927, 0.6073], [0.6073, 0.8927, 0.8927], [0.8927, 0.6073, 0.6073], [0.8927, 0.6073, 0.8927], [0.8927, 0.8927, 0.6073]], "total_energy_ev_per_atom": -7.102, "m_tot_mub_per_cell": 1.2}

---

Entry 2:
{"formula": "AlTlCl4", "functional": "PBE-GGA", "state": "optimized geometry", "lattice": [[11.0963, 0.0000, 0.0000], [0.0000, 7.2116, 0.0000], [0.0000, 0.0000, 9.4778]], "species": ["Al", "Al", "Al", "Al", "Tl", "Tl", "Tl", "Tl", "Cl", "Cl", "Cl", "Cl", "Cl", "Cl", "Cl", "Cl", "Cl", "Cl", "Cl", "Cl", "Cl", "Cl", "Cl", "Cl"], "frac_coords": [[0.0655, 0.2500, 0.1873], [0.4345, 0.7500, 0.6873], [0.5655, 0.2500, 0.3127], [0.9345, 0.7500, 0.8127], [0.1860, 0.2500, 0.6843], [0.3140, 0.7500, 0.1843], [0.6860, 0.2500, 0.8157], [0.8140, 0.7500, 0.3157], [0.0753, 0.0065, 0.3211], [0.0753, 0.4935, 0.3211], [0.1023, 0.7500, 0.9253], [0.2186, 0.2500, 0.0476], [0.2814, 0.7500, 0.5476], [0.3977, 0.2500, 0.4253], [0.4247, 0.5065, 0.8211], [0.4247, 0.9935, 0.8211], [0.5753, 0.0065, 0.1789], [0.5753, 0.4935, 0.1789], [0.6023, 0.7500, 0.5747], [0.7186, 0.2500, 0.4524], [0.7814, 0.7500, 0.9524], [0.8977, 0.2500, 0.0747], [0.9247, 0.5065, 0.6789], [0.9247, 0.9935, 0.6789]], "total_energy_ev_per_atom": -3.679, "energy_corrected_mp2020_ry_per_atom": -0.30049}

---

Entry 3:
{"formula": "Sb2P3O12", "functional": "PBE-GGA", "state": "optimized geometry", "lattice": [[8.5447, 0.0000, 0.0000], [0.0000, 8.8713, 0.0000], [-8.3007, 0.0000, 12.1039]], "species": ["Sb", "Sb", "Sb", "Sb", "Sb", "Sb", "Sb", "Sb", "P", "P", "P", "P", "P", "P", "P", "P", "P", "P", "P", "P", "O", "O", "O", "O", "O", "O", "O", "O", "O", "O", "O", "O", "O", "O", "O", "O", "O", "O", "O", "O", "O", "O", "O", "O", "O", "O", "O", "O", "O", "O", "O", "O", "O", "O", "O", "O", "O", "O", "O", "O", "O", "O", "O", "O", "O", "O", "O", "O"], "frac_coords": [[0.1349, 0.0305, 0.3835], [0.1349, 0.4695, 0.8835], [0.3628, 0.0333, 0.1142], [0.3628, 0.4667, 0.6142], [0.6372, 0.5333, 0.3858], [0.6372, 0.9667, 0.8858], [0.8651, 0.5305, 0.1165], [0.8651, 0.9695, 0.6165], [0.0421, 0.7430, 0.5044], [0.0421, 0.7570, 0.0044], [0.2497, 0.1165, 0.8531], [0.2497, 0.3835, 0.3531], [0.4732, 0.6180, 0.8532], [0.4732, 0.8820, 0.3532], [0.5268, 0.1180, 0.6468], [0.5268, 0.3820, 0.1468], [0.7503, 0.6165, 0.6469], [0.7503, 0.8835, 0.1469], [0.9579, 0.2430, 0.9956], [0.9579, 0.2570, 0.4956], [0.0078, 0.6389, 0.9183], [0.0078, 0.8611, 0.4183], [0.0421, 0.6928, 0.1017], [0.0421, 0.8072, 0.6017], [0.0687, 0.0200, 0.7891], [0.0687, 0.4800, 0.2891], [0.1141, 0.1212, 0.0611], [0.1141, 0.3788, 0.5611], [0.2185, 0.2140, 0.3265], [0.2185, 0.2860, 0.8265], [0.2372, 0.6648, 0.5484], [0.2372, 0.8352, 0.0484], [0.3291, 0.0570, 0.5572], [0.3291, 0.4430, 0.0572], [0.3377, 0.6254, 0.8909], [0.3377, 0.8746, 0.3909], [0.3491, 0.0950, 0.9797], [0.3491, 0.4050, 0.4797], [0.3793, 0.5120, 0.7508], [0.3793, 0.9880, 0.2508], [0.3897, 0.0657, 0.8227], [0.3897, 0.4343, 0.3227], [0.4940, 0.7234, 0.3139], [0.4940, 0.7766, 0.8139], [0.5060, 0.2234, 0.1861], [0.5060, 0.2766, 0.6861], [0.6103, 0.5657, 0.6773], [0.6103, 0.9343, 0.1773], [0.6207, 0.0120, 0.7492], [0.6207, 0.4880, 0.2492], [0.6509, 0.5950, 0.5203], [0.6509, 0.9050, 0.0203], [0.6623, 0.1254, 0.6091], [0.6623, 0.3746, 0.1091], [0.6709, 0.5570, 0.9428], [0.6709, 0.9430, 0.4428], [0.7628, 0.1648, 0.9516], [0.7628, 0.3352, 0.4516], [0.7815, 0.7140, 0.1735], [0.7815, 0.7860, 0.6735], [0.8859, 0.6212, 0.4389], [0.8859, 0.8788, 0.9389], [0.9313, 0.5200, 0.7109], [0.9313, 0.9800, 0.2109], [0.9579, 0.1928, 0.3983], [0.9579, 0.3072, 0.8983], [0.9922, 0.1389, 0.5817], [0.9922, 0.3611, 0.0817]], "total_energy_ev_per_atom": -6.759, "m_tot_mub_per_cell": 4.0, "energy_corrected_mp2020_ry_per_atom": -0.53238}

---

Entry 4:
{"formula": "Zr2FeCo3", "functional": "PBE-GGA", "state": "optimized geometry", "lattice": [[2.5016, 1.4443, 3.9444], [-2.5016, 1.4443, 3.9444], [0.0000, -2.8886, 3.9444]], "species": ["Zr", "Zr", "Fe", "Co", "Co", "Co"], "frac_coords": [[0.1266, 0.1266, 0.1266], [0.8734, 0.8734, 0.8734], [0.5000, 0.5000, 0.5000], [0.0000, 0.5000, 0.5000], [0.5000, 0.0000, 0.5000], [0.5000, 0.5000, 0.0000]], "total_energy_ev_per_atom": -8.120}

---

Entry 5:
{"formula": "Li2Cu5P4O16", "functional": "PBE-GGA", "state": "optimized geometry", "lattice": [[5.1642, 0.0000, 0.0000], [1.4736, 7.7148, 0.0000], [0.2110, 3.1183, 7.5981]], "species": ["Li", "Li", "Cu", "Cu", "Cu", "Cu", "Cu", "P", "P", "P", "P", "O", "O", "O", "O", "O", "O", "O", "O", "O", "O", "O", "O", "O", "O", "O", "O"], "frac_coords": [[0.0972, 0.4448, 0.2956], [0.9028, 0.5552, 0.7044], [0.1420, 0.0924, 0.6707], [0.3929, 0.7514, 0.2181], [0.5000, 0.5000, 0.0000], [0.6071, 0.2486, 0.7819], [0.8580, 0.9076, 0.3293], [0.1312, 0.1999, 0.0306], [0.3786, 0.7094, 0.5765], [0.6214, 0.2906, 0.4235], [0.8688, 0.8001, 0.9694], [0.1519, 0.0015, 0.1818], [0.1580, 0.7110, 0.0347], [0.2018, 0.6717, 0.4441], [0.2236, 0.8640, 0.6255], [0.2545, 0.3246, 0.1007], [0.2810, 0.1684, 0.8736], [0.3467, 0.2621, 0.4963], [0.4206, 0.5200, 0.7448], [0.5794, 0.4800, 0.2552], [0.6533, 0.7379, 0.5037], [0.7190, 0.8316, 0.1264], [0.7455, 0.6754, 0.8993], [0.7764, 0.1360, 0.3745], [0.7982, 0.3283, 0.5559], [0.8420, 0.2890, 0.9653], [0.8481, 0.9985, 0.8182]], "total_energy_ev_per_atom": -6.207, "m_tot_mub_per_cell": 5.0, "energy_corrected_mp2020_ry_per_atom": -0.48615}

---

Entry 6:
{"formula": "HfMg6Cr", "functional": "PBE-GGA", "state": "optimized geometry", "lattice": [[5.0388, 0.0000, 0.0000], [0.0000, 6.1790, 0.0000], [0.0000, 0.0000, 10.9818]], "species": ["Hf", "Hf", "Mg", "Mg", "Mg", "Mg", "Mg", "Mg", "Mg", "Mg", "Mg", "Mg", "Mg", "Mg", "Cr", "Cr"], "frac_coords": [[0.5000, 0.5000, 0.1682], [0.5000, 0.0000, 0.6682], [0.0000, 0.7534, 0.0869], [0.0000, 0.5000, 0.8274], [0.0000, 0.2534, 0.5869], [0.0000, 0.0000, 0.3274], [0.5000, 0.7535, 0.9178], [0.0000, 0.7466, 0.5869], [0.5000, 0.2535, 0.4178], [0.5000, 0.7465, 0.4178], [0.0000, 0.2466, 0.0869], [0.5000, 0.2465, 0.9178], [0.0000, 0.5000, 0.3302], [0.0000, 0.0000, 0.8302], [0.5000, 0.0000, 0.1650], [0.5000, 0.5000, 0.6650]], "total_energy_ev_per_atom": -3.425, "m_tot_mub_per_cell": 7.6}

---

Entry 7:
{"formula": "Cu7PSe6", "functional": "PBE-GGA", "state": "optimized geometry", "lattice": [[14.4426, 0.0000, 0.0000], [0.0000, 7.1662, 0.0000], [0.0000, 0.0000, 10.1225]], "species": ["Cu", "Cu", "Cu", "Cu", "Cu", "Cu", "Cu", "Cu", "Cu", "Cu", "Cu", "Cu", "Cu", "Cu", "Cu", "Cu", "Cu", "Cu", "Cu", "Cu", "Cu", "Cu", "Cu", "Cu", "Cu", "Cu", "Cu", "Cu", "P", "P", "P", "P", "Se", "Se", "Se", "Se", "Se", "Se", "Se", "Se", "Se", "Se", "Se", "Se", "Se", "Se", "Se", "Se", "Se", "Se", "Se", "Se", "Se", "Se", "Se", "Se"], "frac_coords": [[0.0409, 0.0739, 0.0404], [0.0560, 0.4390, 0.3812], [0.1213, 0.6862, 0.2272], [0.1495, 0.0194, 0.3156], [0.2127, 0.7217, 0.6999], [0.2329, 0.4142, 0.0000], [0.2330, 0.5410, 0.4588], [0.2670, 0.0410, 0.9588], [0.2671, 0.9142, 0.5000], [0.2873, 0.2217, 0.1999], [0.3505, 0.5194, 0.8156], [0.3787, 0.1862, 0.7272], [0.4440, 0.9390, 0.8812], [0.4591, 0.5739, 0.5404], [0.5409, 0.4261, 0.0404], [0.5560, 0.0610, 0.3812], [0.6213, 0.8138, 0.2272], [0.6495, 0.4806, 0.3156], [0.7127, 0.7783, 0.6999], [0.7329, 0.0858, 0.0000], [0.7330, 0.9590, 0.4588], [0.7670, 0.4590, 0.9588], [0.7671, 0.5858, 0.5000], [0.7873, 0.2783, 0.1999], [0.8505, 0.9806, 0.8156], [0.8787, 0.3138, 0.7272], [0.9440, 0.5610, 0.8812], [0.9591, 0.9261, 0.5404], [0.1257, 0.2480, 0.7082], [0.3743, 0.7480, 0.2082], [0.6257, 0.2520, 0.7082], [0.8743, 0.7520, 0.2082], [0.0034, 0.2488, 0.5712], [0.1104, 0.7669, 0.4625], [0.1197, 0.5097, 0.8312], [0.1223, 0.2842, 0.1857], [0.1275, 0.9916, 0.8333], [0.2483, 0.7460, 0.0787], [0.2517, 0.2460, 0.5787], [0.3725, 0.4916, 0.3333], [0.3777, 0.7842, 0.6857], [0.3803, 0.0097, 0.3312], [0.3896, 0.2669, 0.9625], [0.4966, 0.7488, 0.0712], [0.5034, 0.2512, 0.5712], [0.6104, 0.7331, 0.4625], [0.6197, 0.9903, 0.8312], [0.6223, 0.2158, 0.1857], [0.6275, 0.5084, 0.8333], [0.7483, 0.7540, 0.0787], [0.7517, 0.2540, 0.5787], [0.8725, 0.0084, 0.3333], [0.8777, 0.7158, 0.6857], [0.8803, 0.4903, 0.3312], [0.8896, 0.2331, 0.9625], [0.9966, 0.7512, 0.0712]], "total_energy_ev_per_atom": -4.009, "energy_corrected_mp2020_ry_per_atom": -0.30955}

---

Entry 8:
{"formula": "Te2MoW2Se2S2", "functional": "PBE-GGA", "state": "optimized geometry", "lattice": [[3.3452, 0.0000, 0.0000], [-1.6726, 2.8970, 0.0000], [0.0000, 0.0000, 31.0082]], "species": ["Te", "Te", "Mo", "W", "W", "Se", "Se", "S", "S"], "frac_coords": [[0.0000, 0.0000, 0.0000], [0.0000, 0.0000, 0.1222], [0.3333, 0.6667, 0.0611], [0.0000, 0.0000, 0.2925], [0.0000, 0.0000, 0.8298], [0.3333, 0.6667, 0.2385], [0.3333, 0.6667, 0.3464], [0.3333, 0.6667, 0.7807], [0.3333, 0.6667, 0.8789]], "total_energy_ev_per_atom": -6.974, "m_tot_mub_per_cell": 0.0, "energy_corrected_mp2020_ry_per_atom": -0.52080}